A) Entry from Materials Project: a relaxed structure of Ba3TiFe2O9 (PBE+U).

calculated volume = 407 Å³ per cell

abc: 5.7718 5.7718 14.1186
angles: 90.00 90.00 120.00
Space group P-3m1 (No. 164)
Inequivalent atoms, fractional coordinates:
Ba  0.0000  0.0000  0.2463 x2
Ba  0.3333  0.6667  0.5934 x2
Ba  0.3333  0.6667  0.9106 x2
Ti  0.3333  0.6667  0.3509 x2
Fe  0.0000  0.0000  0.0000 x1
Fe  0.0000  0.0000  0.5000 x1
Fe  0.3333  0.6667  0.1566 x2
O  0.0362  0.5181  0.2455 x6
O  0.1675  0.3350  0.0816 x6
O  0.1699  0.3399  0.4169 x6

B) Entry from Materials Project: a relaxed structure of Ba3TiFe2O9 (PBE+U).

calculated volume = 408 Å³ per cell

abc: 5.7745 5.7745 14.1185
angles: 90.00 90.00 120.00
Space group P6_3mc (No. 186)
Inequivalent atoms, fractional coordinates:
Ba  0.0000  0.0000  0.0000 x2
Ba  0.3333  0.6667  0.1694 x2
Ba  0.3333  0.6667  0.8493 x2
Ti  0.3333  0.6667  0.6043 x2
Fe  0.0000  0.0000  0.2543 x2
Fe  0.3333  0.6667  0.4105 x2
O  0.0398  0.5199  0.4972 x6
O  0.1676  0.3352  0.6688 x6
O  0.1711  0.3421  0.3339 x6

Which of them is most stable? Easy: B).

A) Entry from Materials Project: a relaxed structure of BaMgV2Ni3H2O10 (PBE+U).

calculated volume = 228 Å³ per cell

abc: 5.959 6.076 7.709
angles: 89.61 71.51 61.17
Space group P1 (No. 1)
Inequivalent atoms, fractional coordinates:
Ba  0.000  0.000  0.000 x1
Mg  0.538  0.429  0.799 x1
V  0.034  0.425  0.697 x1
V  0.263  0.334  0.215 x1
Ni  0.142  0.894  0.450 x1
Ni  0.645  0.883  0.451 x1
Ni  0.654  0.389  0.435 x1
H  0.611  0.642  0.172 x1
H  0.669  0.024  0.723 x1
O  0.059  0.175  0.288 x1
O  0.065  0.680  0.286 x1
O  0.219  0.591  0.699 x1
O  0.221  0.085  0.630 x1
O  0.440  0.216  0.972 x1
O  0.541  0.691  0.309 x1
O  0.543  0.192  0.310 x1
O  0.734  0.577  0.610 x1
O  0.742  0.079  0.609 x1
O  0.778  0.464  0.927 x1

B) Entry from Materials Project: a relaxed structure of BaMgV2Ni3H2O10 (PBE+U).

calculated volume = 462 Å³ per cell

abc: 10.256 6.048 8.106
angles: 90.00 113.32 90.00
Space group C2/m (No. 12)
Inequivalent atoms, fractional coordinates:
Ba  0.000  0.000  0.000 x2
Mg  0.000  0.500  0.500 x2
V  0.104  0.500  0.817 x4
Ni  0.000  0.000  0.500 x2
Ni  0.250  0.250  0.500 x4
H  0.241  0.000  0.752 x4
O  0.016  0.269  0.313 x8
O  0.204  0.000  0.616 x4
O  0.206  0.500  0.044 x4
O  0.213  0.500  0.672 x4

Which of them is most stable? Easy: B).